First-principles (PBE) data for a geometry-optimized HoCoC2 structure, as listed in the Materials Project database.

Calculated values
Volume = 48 Å³/f.u.
ΔH_f (0 K) = -0.3520 eV per atom

abc: 3.7450 3.7450 3.5398
angles: 90.00 90.00 106.07
Closest atoms and distances in Å follow each position.
Atoms (fractional coordinates):
Co: 0.3842 0.6158 0.5000  4 C 1.93-1.98
C: 0.5417 0.1520 0.5000  1 C 1.38
C: 0.8480 0.4583 0.5000  1 C 1.38
Ho: 0.0011 0.9989 0.0000  8 C 2.63-2.64, 2 Co 2.90

=====

First-principles (PBE) data for a geometry-optimized Sm2Fe15Si2 structure, as listed in the Materials Project database.

Calculated values
Volume = 253 Å³/f.u.
Energy above the lowest structure with this stoichiometry = 1.87 eV/f.u.
M_tot = 27.990 μB/cell
ΔH_f (0 K) = -0.0457 eV per atom

abc: 6.3831 6.3831 6.3831
angles: 81.70 81.70 81.70
Closest atoms and distances in Å follow each position.
Atoms (fractional coordinates):
Fe: 0.5000 0.0000 0.0000  8 Fe 2.40-2.44, 2 Si 2.55
Fe: 0.6605 0.1553 0.6605  8 Fe 2.40-2.66, 1 Si 2.56
Fe: 0.3395 0.8447 0.3395  8 Fe 2.40-2.66, 1 Si 2.56
Fe: 0.2897 0.0000 0.7103  8 Fe 2.42-2.66
Fe: 0.8447 0.3395 0.3395  8 Fe 2.40-2.66, 1 Si 2.56
Fe: 0.0000 0.0000 0.5000  8 Fe 2.40-2.44, 2 Si 2.55
Fe: 0.0000 0.5000 0.0000  8 Fe 2.40-2.44, 2 Si 2.55
Fe: 0.2897 0.7103 0.0000  8 Fe 2.42-2.66
Fe: 0.1553 0.6605 0.6605  8 Fe 2.40-2.66, 1 Si 2.56
Fe: 0.7103 0.0000 0.2897  8 Fe 2.42-2.66
Fe: 0.0000 0.2897 0.7103  8 Fe 2.42-2.66
Fe: 0.3395 0.3395 0.8447  8 Fe 2.40-2.66, 1 Si 2.56
Fe: 0.0000 0.7103 0.2897  8 Fe 2.42-2.66
Fe: 0.6605 0.6605 0.1553  8 Fe 2.40-2.66, 1 Si 2.56
Fe: 0.7103 0.2897 0.0000  8 Fe 2.42-2.66
Si: 0.8984 0.8984 0.8984  12 Fe 2.55-2.73, 1 Si 2.55
Si: 0.1016 0.1016 0.1016  12 Fe 2.55-2.73, 1 Si 2.55
Sm: 0.3446 0.3446 0.3446  18 Fe 2.99-3.29, 1 Si 3.05
Sm: 0.6554 0.6554 0.6554  18 Fe 2.99-3.29, 1 Si 3.05

=====

Q: The lowest volume belongs to which entry?
A: HoCoC2